# 1
# Lu3BiRu4O14 | Materials Project | PBE | relaxed
data_Lu3BiRu4O14
_chemical_formula_sum 'Lu9 Bi3 Ru12 O42'
_cell_length_a 7.1974
_cell_length_b 7.1974
_cell_length_c 17.6020
_cell_angle_alpha 90.00
_cell_angle_beta 90.00
_cell_angle_gamma 120.00
_symmetry_space_group_name_H-M 'R -3 m'
_symmetry_Int_Tables_number 166
_symmetry_space_group_name_Hall '-R 3 2"'
loop_
_atom_site_label
_atom_site_type_symbol
_atom_site_fract_x
_atom_site_fract_y
_atom_site_fract_z
Lu1 Lu 0.0000 0.5000 0.0000
Bi1 Bi 0.0000 0.0000 0.5000
Ru1 Ru 0.0000 0.0000 0.0000
Ru2 Ru 0.0000 0.5000 0.5000
O1 O 0.0000 0.0000 0.3689
O2 O 0.0490 0.5245 0.6127
O3 O 0.0543 0.5271 0.8634
# raw total energy	-7.53	eV/atom
# formation enthalpy at 0 K	-2339.1	meV/atom

# 2
# Al3H36C12N3F4 | Materials Project | PBE | relaxed
data_Al3H36C12N3F4
_chemical_formula_sum 'Al6 H72 C24 N6 F8'
_cell_length_a 8.581
_cell_length_b 25.614
_cell_length_c 6.075
_cell_angle_alpha 90.00
_cell_angle_beta 90.29
_cell_angle_gamma 90.00
_symmetry_space_group_name_H-M 'C 1 m 1'
_symmetry_Int_Tables_number 8
_symmetry_space_group_name_Hall 'C -2y'
loop_
_atom_site_label
_atom_site_type_symbol
_atom_site_fract_x
_atom_site_fract_y
_atom_site_fract_z
Al1 Al 0.000 0.000 0.000
Al2 Al 0.009 0.334 0.972
H1 H 0.000 0.249 0.520
H2 H 0.104 0.119 0.732
H3 H 0.104 0.214 0.732
H4 H 0.105 0.453 0.729
H5 H 0.139 0.202 0.240
H6 H 0.140 0.465 0.238
H7 H 0.141 0.131 0.239
H8 H 0.245 0.500 0.449
H9 H 0.246 0.166 0.448
H10 H 0.253 0.000 0.448
H11 H 0.253 0.333 0.449
H12 H 0.356 0.035 0.237
H13 H 0.357 0.368 0.239
H14 H 0.359 0.298 0.239
H15 H 0.393 0.381 0.730
H16 H 0.394 0.047 0.730
H17 H 0.394 0.287 0.730
H18 H 0.499 0.082 0.522
H19 H 0.499 0.416 0.522
C1 C 0.142 0.166 0.342
C2 C 0.142 0.500 0.342
C3 C 0.355 0.000 0.341
C4 C 0.356 0.333 0.342
C5 C 0.499 0.048 0.627
C6 C 0.499 0.286 0.628
C7 C 0.499 0.381 0.628
N1 N 0.499 0.000 0.483
N2 N 0.499 0.334 0.485
F1 F 0.156 0.000 0.814
F2 F 0.341 0.500 0.816
F3 F 0.498 0.221 0.145
# raw total energy	-5.05	eV/atom
# formation enthalpy at 0 K	-309.6	meV/atom

# 3
# BaSrTbHfO6 | Materials Project | PBE | relaxed
data_BaSrTbHfO6
_chemical_formula_sum 'Ba4 Sr4 Tb4 Hf4 O24'
_cell_length_a 8.639
_cell_length_b 8.639
_cell_length_c 8.639
_cell_angle_alpha 90.00
_cell_angle_beta 90.00
_cell_angle_gamma 90.00
_symmetry_space_group_name_H-M 'F -4 3 m'
_symmetry_Int_Tables_number 216
_symmetry_space_group_name_Hall 'F -4 2 3'
loop_
_atom_site_label
_atom_site_type_symbol
_atom_site_fract_x
_atom_site_fract_y
_atom_site_fract_z
Ba1 Ba 0.000 0.000 0.000
Sr1 Sr 0.000 0.000 0.500
Tb1 Tb 0.250 0.250 0.250
Hf1 Hf 0.250 0.250 0.750
O1 O 0.010 0.250 0.750
# raw total energy	-7.80	eV/atom
# formation enthalpy at 0 K	-3426.0	meV/atom

# 4
# LaCeGe4Pt4 | Materials Project | PBE | relaxed
data_LaCeGe4Pt4
_chemical_formula_sum 'La1 Ce1 Ge4 Pt4'
_cell_length_a 4.400
_cell_length_b 4.399
_cell_length_c 10.035
_cell_angle_alpha 90.00
_cell_angle_beta 90.15
_cell_angle_gamma 90.00
_symmetry_space_group_name_H-M 'P 1 m 1'
_symmetry_Int_Tables_number 6
_symmetry_space_group_name_Hall 'P -2y'
loop_
_atom_site_label
_atom_site_type_symbol
_atom_site_fract_x
_atom_site_fract_y
_atom_site_fract_z
La1 La 0.000 0.000 0.000
Ce1 Ce 0.501 0.500 0.496
Ge1 Ge 0.014 0.500 0.251
Ge2 Ge 0.488 0.500 0.880
Ge3 Ge 0.515 0.000 0.252
Ge4 Ge 0.985 0.000 0.618
Pt1 Pt 0.016 0.000 0.374
Pt2 Pt 0.484 0.000 0.745
Pt3 Pt 0.513 0.500 0.128
Pt4 Pt 0.986 0.500 0.747
# raw total energy	-6.32	eV/atom
# formation enthalpy at 0 K	-956.0	meV/atom

# 5
# Ta2NiSe5 | Materials Project | PBE | relaxed
data_Ta2NiSe5
_chemical_formula_sum 'Ta8 Ni4 Se20'
_cell_length_a 3.512
_cell_length_b 13.628
_cell_length_c 15.787
_cell_angle_alpha 90.00
_cell_angle_beta 90.00
_cell_angle_gamma 90.00
_symmetry_space_group_name_H-M 'C m c m'
_symmetry_Int_Tables_number 63
_symmetry_space_group_name_Hall '-C 2c 2'
loop_
_atom_site_label
_atom_site_type_symbol
_atom_site_fract_x
_atom_site_fract_y
_atom_site_fract_z
Ta1 Ta 0.000 0.222 0.111
Ni1 Ni 0.000 0.298 0.750
Se1 Se 0.000 0.152 0.549
Se2 Se 0.000 0.321 0.250
Se3 Se 0.000 0.412 0.638
# raw total energy	-6.60	eV/atom
# formation enthalpy at 0 K	-1027.2	meV/atom

# 6
# La4MgTi3O12 | Materials Project | PBE | relaxed
data_La4MgTi3O12
_chemical_formula_sum 'La4 Mg1 Ti3 O12'
_cell_length_a 5.597
_cell_length_b 5.659
_cell_length_c 7.936
_cell_angle_alpha 90.11
_cell_angle_beta 90.00
_cell_angle_gamma 90.17
_symmetry_space_group_name_H-M 'P -1'
_symmetry_Int_Tables_number 2
_symmetry_space_group_name_Hall '-P 1'
loop_
_atom_site_label
_atom_site_type_symbol
_atom_site_fract_x
_atom_site_fract_y
_atom_site_fract_z
La1 La 0.007 0.039 0.253
La2 La 0.493 0.543 0.254
Mg1 Mg 0.500 0.000 0.500
Ti1 Ti 0.000 0.500 0.000
Ti2 Ti 0.000 0.500 0.500
Ti3 Ti 0.500 0.000 0.000
O1 O 0.076 0.518 0.749
O2 O 0.199 0.789 0.457
O3 O 0.216 0.785 0.040
O4 O 0.286 0.285 0.042
O5 O 0.290 0.302 0.459
O6 O 0.418 0.022 0.755
# raw total energy	-8.47	eV/atom
# formation enthalpy at 0 K	-3662.9	meV/atom

# 7
# Si2P2Pt | Materials Project | PBE | relaxed
data_Si2P2Pt
_chemical_formula_sum 'Si16 P16 Pt8'
_cell_length_a 6.067
_cell_length_b 9.614
_cell_length_c 12.121
_cell_angle_alpha 90.00
_cell_angle_beta 102.98
_cell_angle_gamma 90.00
_symmetry_space_group_name_H-M 'P 1 21 1'
_symmetry_Int_Tables_number 4
_symmetry_space_group_name_Hall 'P 2yb'
loop_
_atom_site_label
_atom_site_type_symbol
_atom_site_fract_x
_atom_site_fract_y
_atom_site_fract_z
Si1 Si 0.034 0.000 0.332
Si2 Si 0.039 0.695 0.178
Si3 Si 0.242 0.570 0.575
Si4 Si 0.251 0.823 0.437
Si5 Si 0.255 0.051 0.916
Si6 Si 0.442 0.372 0.639
Si7 Si 0.450 0.347 0.830
Si8 Si 0.453 0.211 0.163
P1 P 0.046 0.865 0.671
P2 P 0.071 0.847 0.861
P3 P 0.234 0.387 0.069
P4 P 0.239 0.201 0.390
P5 P 0.252 0.174 0.581
P6 P 0.266 0.659 0.927
P7 P 0.271 0.008 0.103
P8 P 0.451 0.538 0.325
Pt1 Pt 0.090 0.435 0.863
Pt2 Pt 0.093 0.597 0.373
Pt3 Pt 0.391 0.617 0.128
Pt4 Pt 0.413 0.792 0.643
# raw total energy	-5.89	eV/atom
# formation enthalpy at 0 K	-338.1	meV/atom

# 8
# TaAlNi6 | Materials Project | PBE | relaxed
data_TaAlNi6
_chemical_formula_sum 'Ta2 Al2 Ni12'
_cell_length_a 5.1203
_cell_length_b 5.1203
_cell_length_c 8.2958
_cell_angle_alpha 90.00
_cell_angle_beta 90.00
_cell_angle_gamma 120.00
_symmetry_space_group_name_H-M 'P 63/m m c'
_symmetry_Int_Tables_number 194
_symmetry_space_group_name_Hall '-P 6c 2c'
loop_
_atom_site_label
_atom_site_type_symbol
_atom_site_fract_x
_atom_site_fract_y
_atom_site_fract_z
Ta1 Ta 0.0000 0.0000 0.0000
Al1 Al 0.3333 0.6667 0.2500
Ni1 Ni 0.0000 0.5000 0.0000
Ni2 Ni 0.1733 0.3466 0.7500
# raw total energy	-6.71	eV/atom
# formation enthalpy at 0 K	-423.8	meV/atom

# 9
# Ce3YIn4Au8 | Materials Project | PBE | relaxed
data_Ce3YIn4Au8
_chemical_formula_sum 'Ce9 Y3 In12 Au24'
_cell_length_a 5.0833
_cell_length_b 5.0833
_cell_length_c 47.8137
_cell_angle_alpha 90.00
_cell_angle_beta 90.00
_cell_angle_gamma 120.00
_symmetry_space_group_name_H-M 'R -3 m'
_symmetry_Int_Tables_number 166
_symmetry_space_group_name_Hall '-R 3 2"'
loop_
_atom_site_label
_atom_site_type_symbol
_atom_site_fract_x
_atom_site_fract_y
_atom_site_fract_z
Ce1 Ce 0.0000 0.0000 0.0000
Ce2 Ce 0.0000 0.0000 0.2497
Y1 Y 0.0000 0.0000 0.5000
In1 In 0.0000 0.0000 0.1249
In2 In 0.0000 0.0000 0.3755
Au1 Au 0.0000 0.0000 0.0642
Au2 Au 0.0000 0.0000 0.1846
Au3 Au 0.0000 0.0000 0.3137
Au4 Au 0.0000 0.0000 0.4367
# raw total energy	-4.48	eV/atom
# formation enthalpy at 0 K	-636.5	meV/atom

# 10
# BaNb2O6 | Materials Project | PBE | relaxed
data_BaNb2O6
_chemical_formula_sum 'Ba2 Nb4 O12'
_cell_length_a 4.010
_cell_length_b 6.141
_cell_length_c 10.676
_cell_angle_alpha 90.00
_cell_angle_beta 90.34
_cell_angle_gamma 90.00
_symmetry_space_group_name_H-M 'P 1 21/c 1'
_symmetry_Int_Tables_number 14
_symmetry_space_group_name_Hall '-P 2ybc'
loop_
_atom_site_label
_atom_site_type_symbol
_atom_site_fract_x
_atom_site_fract_y
_atom_site_fract_z
Ba1 Ba 0.000 0.000 0.000
Nb1 Nb 0.467 0.045 0.350
O1 O 0.002 0.585 0.150
O2 O 0.496 0.699 0.963
O3 O 0.498 0.617 0.697
# raw total energy	-8.51	eV/atom
# formation enthalpy at 0 K	-3216.1	meV/atom

# 11
# Ce2SeS | Materials Project | PBE | relaxed
data_Ce2SeS
_chemical_formula_sum 'Ce2 Se1 S1'
_cell_length_a 4.120
_cell_length_b 4.120
_cell_length_c 5.827
_cell_angle_alpha 90.00
_cell_angle_beta 90.00
_cell_angle_gamma 90.00
_symmetry_space_group_name_H-M 'P 4/m m m'
_symmetry_Int_Tables_number 123
_symmetry_space_group_name_Hall '-P 4 2'
loop_
_atom_site_label
_atom_site_type_symbol
_atom_site_fract_x
_atom_site_fract_y
_atom_site_fract_z
Ce1 Ce 0.000 0.000 0.000
Ce2 Ce 0.500 0.500 0.500
Se1 Se 0.000 0.000 0.500
S1 S 0.500 0.500 0.000
# raw total energy	-6.78	eV/atom
# formation enthalpy at 0 K	-2031.1	meV/atom

# 12
# NbPCl10 | Materials Project | PBE | relaxed
data_NbPCl10
_chemical_formula_sum 'Nb2 P2 Cl20'
_cell_length_a 7.348
_cell_length_b 7.595
_cell_length_c 14.176
_cell_angle_alpha 91.09
_cell_angle_beta 91.15
_cell_angle_gamma 106.27
_symmetry_space_group_name_H-M 'P -1'
_symmetry_Int_Tables_number 2
_symmetry_space_group_name_Hall '-P 1'
loop_
_atom_site_label
_atom_site_type_symbol
_atom_site_fract_x
_atom_site_fract_y
_atom_site_fract_z
Nb1 Nb 0.000 0.000 0.000
Nb2 Nb 0.000 0.000 0.500
P1 P 0.381 0.592 0.261
Cl1 Cl 0.102 0.008 0.161
Cl2 Cl 0.112 0.269 0.599
Cl3 Cl 0.127 0.827 0.609
Cl4 Cl 0.135 0.524 0.194
Cl5 Cl 0.225 0.290 0.977
Cl6 Cl 0.230 0.846 0.955
Cl7 Cl 0.294 0.079 0.421
Cl8 Cl 0.342 0.588 0.397
Cl9 Cl 0.473 0.164 0.776
Cl10 Cl 0.481 0.585 0.774
# raw total energy	-3.78	eV/atom
# formation enthalpy at 0 K	-1455.6	meV/atom